A plane-wave DFT calculation with PBE with a Hubbard U was carried out for an optimized crystal structure of TiMn3P6O24.

Cell: 8.757 8.757 8.757 Å, 58.25 58.25 58.25°
Sites, in units of the cell vectors:
1 Mn 0.355 0.355 0.355
2 Mn 0.855 0.855 0.855
3 Mn 0.644 0.644 0.644
4 O 0.012 0.770 0.643
5 O 0.920 0.289 0.061
6 O 0.222 0.364 0.994
7 O 0.218 0.568 0.446
8 O 0.139 0.275 0.515
9 O 0.770 0.643 0.012
10 O 0.723 0.938 0.075
11 O 0.491 0.859 0.722
12 O 0.075 0.723 0.938
13 O 0.994 0.222 0.364
14 O 0.779 0.425 0.563
15 O 0.938 0.075 0.723
16 O 0.289 0.061 0.920
17 O 0.425 0.563 0.779
18 O 0.446 0.218 0.568
19 O 0.364 0.994 0.222
20 O 0.515 0.139 0.275
21 O 0.643 0.012 0.770
22 O 0.568 0.446 0.218
23 O 0.722 0.491 0.859
24 O 0.275 0.515 0.139
25 O 0.061 0.920 0.289
26 O 0.859 0.722 0.491
27 O 0.563 0.779 0.425
28 P 0.743 0.470 0.033
29 P 0.470 0.033 0.743
30 P 0.965 0.250 0.537
31 P 0.033 0.743 0.470
32 P 0.250 0.537 0.965
33 P 0.537 0.965 0.250
34 Ti 0.140 0.140 0.140

SG ... R3
Total energy ... -0.532 Ry/atom
Magnetic moment ... 7.0 μB/f.u.

---

A plane-wave DFT calculation with PBE with a Hubbard U was carried out for an optimized crystal structure of Ti3MnP6O24.

Cell: 8.815 8.815 8.815 Å, 58.40 58.40 58.40°
Sites, in units of the cell vectors:
1 O 0.992 0.225 0.357
2 O 0.004 0.784 0.635
3 O 0.784 0.635 0.004
4 O 0.558 0.788 0.425
5 O 0.433 0.214 0.582
6 O 0.060 0.931 0.280
7 O 0.493 0.862 0.725
8 O 0.077 0.709 0.940
9 O 0.357 0.992 0.225
10 O 0.862 0.725 0.493
11 O 0.725 0.493 0.862
12 O 0.582 0.433 0.214
13 O 0.425 0.558 0.788
14 O 0.280 0.060 0.931
15 O 0.501 0.139 0.280
16 O 0.940 0.077 0.709
17 O 0.931 0.280 0.060
18 O 0.225 0.357 0.992
19 O 0.139 0.280 0.501
20 O 0.635 0.004 0.784
21 O 0.214 0.582 0.433
22 O 0.280 0.501 0.139
23 O 0.709 0.940 0.077
24 O 0.788 0.425 0.558
25 Ti 0.860 0.860 0.860
26 Ti 0.360 0.360 0.360
27 Ti 0.641 0.641 0.641
28 P 0.968 0.250 0.529
29 P 0.462 0.034 0.757
30 P 0.529 0.968 0.250
31 P 0.757 0.462 0.034
32 P 0.250 0.529 0.968
33 P 0.034 0.757 0.462
34 Mn 0.145 0.145 0.145

SG ... R3
Total energy ... -0.555 Ry/atom
Magnetic moment ... 0.7 μB/f.u.

---

A plane-wave DFT calculation with PBE with a Hubbard U was carried out for an optimized crystal structure of TiMn2V3P6O24.

Cell: 8.669 8.669 8.669 Å, 59.82 59.82 59.82°
Sites, in units of the cell vectors:
1 P 0.042 0.457 0.750
2 P 0.542 0.250 0.958
3 P 0.750 0.042 0.457
4 P 0.250 0.958 0.542
5 P 0.958 0.542 0.250
6 P 0.457 0.750 0.042
7 O 0.444 0.586 0.234
8 O 0.495 0.694 0.881
9 O 0.940 0.736 0.083
10 O 0.998 0.622 0.807
11 O 0.414 0.764 0.561
12 O 0.807 0.998 0.622
13 O 0.561 0.414 0.764
14 O 0.586 0.234 0.444
15 O 0.118 0.507 0.305
16 O 0.194 0.994 0.382
17 O 0.694 0.881 0.495
18 O 0.083 0.940 0.736
19 O 0.234 0.444 0.586
20 O 0.764 0.561 0.414
21 O 0.881 0.495 0.694
22 O 0.916 0.059 0.266
23 O 0.059 0.266 0.916
24 O 0.736 0.083 0.940
25 O 0.266 0.916 0.059
26 O 0.622 0.807 0.998
27 O 0.305 0.118 0.507
28 O 0.994 0.382 0.194
29 O 0.382 0.194 0.994
30 O 0.507 0.305 0.118
31 Mn 0.500 0.500 0.500
32 Mn 0.001 0.001 0.001
33 Ti 0.854 0.854 0.854
34 V 0.145 0.145 0.145
35 V 0.643 0.643 0.643
36 V 0.356 0.356 0.356

SG ... R3
Total energy ... -0.567 Ry/atom
Magnetic moment ... 15.0 μB/f.u.

---

A plane-wave DFT calculation with PBE with a Hubbard U was carried out for an optimized crystal structure of Ti3MnV2P6O24.

Cell: 8.591 8.591 8.591 Å, 60.89 60.89 60.89°
Sites, in units of the cell vectors:
1 O 0.978 0.185 0.400
2 O 0.999 0.813 0.619
3 O 0.266 0.050 0.898
4 O 0.497 0.120 0.311
5 O 0.518 0.888 0.667
6 O 0.400 0.978 0.185
7 O 0.120 0.311 0.497
8 O 0.813 0.619 0.999
9 O 0.758 0.412 0.572
10 O 0.090 0.745 0.940
11 O 0.619 0.999 0.813
12 O 0.185 0.400 0.978
13 O 0.239 0.585 0.447
14 O 0.667 0.518 0.888
15 O 0.447 0.239 0.585
16 O 0.940 0.090 0.745
17 O 0.585 0.447 0.239
18 O 0.311 0.497 0.120
19 O 0.050 0.898 0.266
20 O 0.898 0.266 0.050
21 O 0.888 0.667 0.518
22 O 0.412 0.572 0.758
23 O 0.745 0.940 0.090
24 O 0.572 0.758 0.412
25 P 0.547 0.952 0.249
26 P 0.249 0.547 0.952
27 P 0.746 0.458 0.045
28 P 0.952 0.249 0.547
29 P 0.458 0.045 0.746
30 P 0.045 0.746 0.458
31 Ti 0.857 0.857 0.857
32 Ti 0.646 0.646 0.646
33 Ti 0.354 0.354 0.354
34 V 0.001 0.001 0.001
35 V 0.502 0.502 0.502
36 Mn 0.145 0.145 0.145

SG ... R3
Total energy ... -0.579 Ry/atom
Magnetic moment ... 11.0 μB/f.u.

---

A plane-wave DFT calculation with PBE with a Hubbard U was carried out for an optimized crystal structure of Ti3Mn2P6WO24.

Cell: 8.740 8.729 8.729 Å, 60.00 60.04 60.04°
Sites, in units of the cell vectors:
1 P 0.247 0.252 0.548
2 P 0.247 0.954 0.252
3 P 0.752 0.043 0.744
4 P 0.247 0.548 0.954
5 P 0.752 0.461 0.043
6 P 0.752 0.744 0.461
7 O 0.737 0.235 0.582
8 O 0.573 0.618 0.001
9 O 0.427 0.982 0.195
10 O 0.232 0.739 0.940
11 O 0.252 0.416 0.568
12 O 0.777 0.054 0.901
13 O 0.926 0.883 0.682
14 O 0.071 0.310 0.501
15 O 0.777 0.268 0.054
16 O 0.573 0.808 0.618
17 O 0.252 0.763 0.416
18 O 0.071 0.501 0.118
19 O 0.427 0.395 0.982
20 O 0.926 0.509 0.883
21 O 0.071 0.118 0.310
22 O 0.427 0.195 0.395
23 O 0.926 0.682 0.509
24 O 0.232 0.940 0.089
25 O 0.252 0.568 0.763
26 O 0.737 0.582 0.446
27 O 0.232 0.089 0.739
28 O 0.777 0.901 0.268
29 O 0.737 0.446 0.235
30 O 0.573 0.001 0.808
31 Mn 0.497 0.501 0.501
32 Mn 0.007 0.998 0.998
33 Ti 0.436 0.855 0.855
34 Ti 0.062 0.646 0.646
35 Ti 0.939 0.354 0.354
36 W 0.575 0.142 0.142

SG ... R3
Total energy ... -0.577 Ry/atom
Magnetic moment ... 14.0 μB/f.u.

---

A plane-wave DFT calculation with PBE with a Hubbard U was carried out for an optimized crystal structure of MnTlP3O9.

Cell: 9.612 7.451 12.389 Å, 90.00 90.00 90.00°
Sites, in units of the cell vectors:
1 P 0.206 0.250 0.455
2 P 0.754 0.548 0.349
3 P 0.754 0.952 0.349
4 P 0.794 0.750 0.545
5 P 0.254 0.548 0.151
6 P 0.246 0.048 0.651
7 P 0.746 0.048 0.849
8 P 0.254 0.952 0.151
9 P 0.246 0.452 0.651
10 P 0.294 0.750 0.955
11 P 0.706 0.250 0.045
12 P 0.746 0.452 0.849
13 O 0.860 0.475 0.272
14 O 0.213 0.750 0.189
15 O 0.713 0.750 0.311
16 O 0.380 0.950 0.632
17 O 0.880 0.550 0.868
18 O 0.620 0.050 0.368
19 O 0.898 0.750 0.633
20 O 0.860 0.250 0.068
21 O 0.360 0.250 0.432
22 O 0.170 0.418 0.535
23 O 0.360 0.025 0.228
24 O 0.140 0.750 0.932
25 O 0.330 0.582 0.035
26 O 0.640 0.525 0.772
27 O 0.102 0.250 0.367
28 O 0.330 0.918 0.035
29 O 0.140 0.975 0.728
30 O 0.140 0.525 0.728
31 O 0.398 0.750 0.867
32 O 0.640 0.975 0.772
33 O 0.640 0.750 0.568
34 O 0.120 0.450 0.132
35 O 0.380 0.550 0.632
36 O 0.287 0.250 0.689
37 O 0.670 0.082 0.965
38 O 0.170 0.082 0.535
39 O 0.830 0.918 0.465
40 O 0.602 0.250 0.133
41 O 0.880 0.950 0.868
42 O 0.360 0.475 0.228
43 O 0.670 0.418 0.965
44 O 0.787 0.250 0.811
45 O 0.830 0.582 0.465
46 O 0.860 0.025 0.272
47 O 0.120 0.050 0.132
48 O 0.620 0.450 0.368
49 Mn 0.513 0.750 0.718
50 Mn 0.487 0.250 0.282
51 Mn 0.987 0.250 0.218
52 Mn 0.013 0.750 0.782
53 Tl 0.594 0.250 0.579
54 Tl 0.094 0.250 0.921
55 Tl 0.406 0.750 0.421
56 Tl 0.906 0.750 0.079

SG ... Pnma
Total energy ... -0.522 Ry/atom
Magnetic moment ... 5.0 μB/f.u.

---

A plane-wave DFT calculation with PBE with a Hubbard U was carried out for an optimized crystal structure of U2MnP2O22.

Cell: 10.767 10.767 7.046 Å, 71.06 71.06 125.02°
Sites, in units of the cell vectors:
1 O 0.120 0.524 0.161
2 O 0.331 0.202 0.761
3 O 0.106 0.894 0.500
4 O 0.014 0.014 0.751
5 O 0.219 0.813 0.807
6 O 0.682 0.576 0.204
7 O 0.296 0.704 0.500
8 O 0.187 0.781 0.193
9 O 0.524 0.120 0.161
10 O 0.576 0.682 0.204
11 O 0.798 0.669 0.239
12 O 0.318 0.424 0.796
13 O 0.202 0.331 0.761
14 O 0.781 0.187 0.193
15 O 0.669 0.798 0.239
16 O 0.476 0.880 0.839
17 O 0.894 0.106 0.500
18 O 0.424 0.318 0.796
19 O 0.880 0.476 0.839
20 O 0.813 0.219 0.807
21 O 0.986 0.986 0.249
22 O 0.704 0.296 0.500
23 U 0.799 0.201 0.500
24 U 0.201 0.799 0.500
25 P 0.251 0.749 0.000
26 P 0.749 0.251 0.000
27 Mn 0.000 0.000 0.000

SG ... C2/m
Total energy ... -0.510 Ry/atom
Magnetic moment ... 5.0 μB/f.u.

---

A plane-wave DFT calculation with PBE with a Hubbard U was carried out for an optimized crystal structure of MnV3P6O24.

Cell: 8.709 8.709 8.709 Å, 58.47 58.47 58.47°
Sites, in units of the cell vectors:
1 O 0.776 0.638 0.011
2 O 0.076 0.714 0.943
3 O 0.943 0.076 0.714
4 O 0.497 0.860 0.718
5 O 0.573 0.438 0.216
6 O 0.718 0.497 0.860
7 O 0.714 0.943 0.076
8 O 0.279 0.057 0.927
9 O 0.143 0.280 0.501
10 O 0.986 0.231 0.356
11 O 0.501 0.143 0.280
12 O 0.427 0.563 0.786
13 O 0.057 0.927 0.279
14 O 0.638 0.011 0.776
15 O 0.927 0.279 0.057
16 O 0.231 0.356 0.986
17 O 0.280 0.501 0.143
18 O 0.786 0.427 0.563
19 O 0.356 0.986 0.231
20 O 0.438 0.216 0.573
21 O 0.011 0.776 0.638
22 O 0.563 0.786 0.427
23 O 0.216 0.573 0.438
24 O 0.860 0.718 0.497
25 P 0.249 0.531 0.970
26 P 0.754 0.464 0.033
27 P 0.033 0.754 0.464
28 P 0.531 0.970 0.249
29 P 0.970 0.249 0.531
30 P 0.464 0.033 0.754
31 V 0.858 0.858 0.858
32 V 0.640 0.640 0.640
33 V 0.361 0.361 0.361
34 Mn 0.144 0.144 0.144

SG ... R3
Total energy ... -0.538 Ry/atom
Magnetic moment ... 2.0 μB/f.u.

---

Formation enthalpy at 0 K values (in eV/atom) by entry order: -2.3825; -2.6767; -2.7221; -2.8625; -2.7995; -2.4938; -1.5222; -2.4845.